Below is Mn3ZnN after structural relaxation, with properties calculated at the r2SCAN level.

The structure in CIF format:
```
data_Mn3ZnN
_chemical_formula_sum 'Mn3 Zn1 N1'
_cell_length_a 3.962
_cell_length_b 3.962
_cell_length_c 3.962
_cell_angle_alpha 90.00
_cell_angle_beta 90.00
_cell_angle_gamma 90.00
_symmetry_space_group_name_H-M 'P 1'
_symmetry_Int_Tables_number 1
_symmetry_space_group_name_Hall 'P 1'
loop_
_atom_site_label
_atom_site_type_symbol
_atom_site_fract_x
_atom_site_fract_y
_atom_site_fract_z
_atom_site_occupancy
Mn1 Mn 0.000 0.000 0.500 1
Mn2 Mn 0.000 0.500 0.000 1
Mn3 Mn 0.500 0.000 0.000 1
Zn1 Zn 0.500 0.500 0.500 1
N1 N 0.000 0.000 0.000 1
```

Output
Energy relative to the elements: -217 kJ/mol of formula units
Magnetic moment: 10.3 μB/f.u.

---

Below is PrDyTl2 after structural relaxation, with properties calculated at the r2SCAN level.

The structure in CIF format:
```
data_PrDyTl2
_chemical_formula_sum 'Pr4 Dy4 Tl8'
_cell_length_a 7.693
_cell_length_b 7.693
_cell_length_c 7.693
_cell_angle_alpha 90.00
_cell_angle_beta 90.00
_cell_angle_gamma 90.00
_symmetry_space_group_name_H-M 'P 1'
_symmetry_Int_Tables_number 1
_symmetry_space_group_name_Hall 'P 1'
loop_
_atom_site_label
_atom_site_type_symbol
_atom_site_fract_x
_atom_site_fract_y
_atom_site_fract_z
_atom_site_occupancy
Pr1 Pr 0.000 0.000 0.000 1
Pr2 Pr 0.000 0.500 0.500 1
Pr3 Pr 0.500 0.000 0.500 1
Pr4 Pr 0.500 0.500 0.000 1
Dy1 Dy 0.000 0.000 0.500 1
Dy2 Dy 0.000 0.500 0.000 1
Dy3 Dy 0.500 0.000 0.000 1
Dy4 Dy 0.500 0.500 0.500 1
Tl1 Tl 0.250 0.250 0.250 1
Tl2 Tl 0.250 0.250 0.750 1
Tl3 Tl 0.250 0.750 0.250 1
Tl4 Tl 0.250 0.750 0.750 1
Tl5 Tl 0.750 0.250 0.250 1
Tl6 Tl 0.750 0.250 0.750 1
Tl7 Tl 0.750 0.750 0.250 1
Tl8 Tl 0.750 0.750 0.750 1
```

Output
Energy relative to the elements: -181 kJ/mol of formula units
Magnetic moment: 0.0 μB/f.u.

---

Below is Dy10Si17 after structural relaxation, with properties calculated at the r2SCAN level.

The structure in CIF format:
```
data_Dy10Si17
_chemical_formula_sum 'Dy10 Si17'
_cell_length_a 10.987
_cell_length_b 10.987
_cell_length_c 10.987
_cell_angle_alpha 135.92
_cell_angle_beta 57.79
_cell_angle_gamma 144.56
_symmetry_space_group_name_H-M 'P 1'
_symmetry_Int_Tables_number 1
_symmetry_space_group_name_Hall 'P 1'
loop_
_atom_site_label
_atom_site_type_symbol
_atom_site_fract_x
_atom_site_fract_y
_atom_site_fract_z
_atom_site_occupancy
Dy1 Dy 0.000 0.245 0.245 1
Dy2 Dy 0.000 0.755 0.755 1
Dy3 Dy 0.202 0.253 0.451 1
Dy4 Dy 0.202 0.751 0.949 1
Dy5 Dy 0.406 0.254 0.647 1
Dy6 Dy 0.406 0.758 0.152 1
Dy7 Dy 0.606 0.254 0.848 1
Dy8 Dy 0.606 0.758 0.353 1
Dy9 Dy 0.802 0.253 0.051 1
Dy10 Dy 0.802 0.751 0.549 1
Si1 Si 0.081 0.199 0.882 1
Si2 Si 0.107 0.691 0.416 1
Si3 Si 0.136 0.835 0.300 1
Si4 Si 0.276 0.691 0.584 1
Si5 Si 0.317 0.199 0.118 1
Si6 Si 0.322 0.322 0.000 1
Si7 Si 0.423 0.622 0.801 1
Si8 Si 0.479 0.193 0.287 1
Si9 Si 0.535 0.835 0.700 1
Si10 Si 0.634 0.134 0.500 1
Si11 Si 0.671 0.671 0.000 1
Si12 Si 0.739 0.340 0.400 1
Si13 Si 0.743 0.847 0.896 1
Si14 Si 0.821 0.622 0.199 1
Si15 Si 0.906 0.193 0.713 1
Si16 Si 0.940 0.340 0.600 1
Si17 Si 0.951 0.847 0.104 1
```

Output
Energy relative to the elements: -1873 kJ/mol of formula units
Magnetic moment: 0.0 μB/f.u.